Entry 1:
The following is a DFT calculation (r²SCAN) of a geometry-optimized Cs2PtCl4 structure.

Values from the calculation:
The space group is No. 63.

```
Cs2PtCl4
1.0
5.2475 -5.2545 0.0000
5.2475 5.2545 0.0000
0.0000 0.0000 9.5025
Cs Pt Cl
4 2 8
Cartesian
2.6757 2.6250 7.1269
7.8194 2.6250 7.1269
2.6757 -2.6250 2.3756
7.8194 -2.6250 2.3756
0.0000 0.0000 0.0000
0.0000 0.0000 4.7513
2.3168 0.0000 0.0000
2.3168 0.0000 4.7513
5.2475 2.9372 0.0624
5.2475 2.9372 4.6888
5.2475 -2.9372 4.8137
5.2475 -2.9372 9.4401
8.1783 0.0000 0.0000
8.1783 0.0000 4.7513
```

***

Entry 2:
The following is a DFT calculation (r²SCAN) of a geometry-optimized Cs3Ru2Cl9 structure.

Values from the calculation:
The space group is No. 194.

```
Cs3Ru2Cl9
1.0
7.3240 0.0000 0.0000
-3.6620 6.3428 0.0000
0.0000 0.0000 17.7342
Cs Ru Cl
6 4 18
Cartesian
0.0000 0.0000 4.4336
0.0000 0.0000 13.3007
0.0000 4.2285 1.2789
0.0000 4.2285 7.5882
3.6620 2.1143 10.1460
3.6620 2.1143 16.4553
0.0000 4.2285 11.9745
0.0000 4.2285 14.6268
3.6620 2.1143 3.1074
3.6620 2.1143 5.7597
-1.7299 3.2298 13.3007
0.0000 2.3153 10.6105
0.0000 2.3153 15.9908
-1.6569 5.1852 10.6105
-1.6569 5.1852 15.9908
2.0051 1.1576 1.7434
2.0051 1.1576 7.1237
1.7299 3.2298 13.3007
0.0000 6.2260 13.3007
3.6620 0.1168 4.4336
1.9322 3.1130 4.4336
1.6569 5.1852 10.6105
1.6569 5.1852 15.9908
5.3190 1.1576 1.7434
5.3190 1.1576 7.1237
3.6620 4.0275 1.7434
3.6620 4.0275 7.1237
5.3919 3.1130 4.4336
```

***

Entry 3:
The following is a DFT calculation (r²SCAN) of a geometry-optimized Cs3Sb2Cl9 structure.

Values from the calculation:
The space group is No. 150.

```
Cs3Sb2Cl9
1.0
7.6439 0.0000 0.0000
-3.8219 6.6198 0.0000
0.0000 0.0000 9.3326
Cs Sb Cl
3 2 9
Cartesian
0.0000 0.0000 0.0000
0.0000 4.4132 3.0924
3.8219 2.2066 6.2402
0.0000 4.4132 7.5988
3.8219 2.2066 1.7338
-1.8636 3.2278 0.0000
-1.8310 5.4170 6.2090
0.0462 2.3256 6.2090
1.9909 1.2028 3.1237
3.7272 0.0000 0.0000
1.9584 3.3920 0.0000
1.7848 5.4970 6.2090
5.6067 1.1228 3.1237
3.8682 4.2942 3.1237
```

***

Entry 4:
The following is a DFT calculation (r²SCAN) of a geometry-optimized Cs3Sb2Cl9 structure.

Values from the calculation:
The space group is No. 164.

```
Cs3Sb2Cl9
1.0
7.6212 0.0000 0.0000
-3.8106 6.6002 0.0000
0.0000 0.0000 9.3710
Cs Sb Cl
3 2 9
Cartesian
0.0000 0.0000 0.0000
0.0000 4.4001 3.1205
3.8106 2.2001 6.2505
0.0000 4.4001 7.6282
3.8106 2.2001 1.7428
-1.9053 3.3001 0.0000
0.0000 2.3127 6.2359
-1.8077 5.4438 6.2359
2.0029 1.1564 3.1351
3.8106 0.0000 0.0000
1.9053 3.3001 0.0000
1.8077 5.4438 6.2359
5.6183 1.1564 3.1351
3.8106 4.2874 3.1351
```

***

Entry 5:
The following is a DFT calculation (r²SCAN) of a geometry-optimized Cs4TlSbCl12 structure.

Values from the calculation:
The space group is No. 141.

```
Cs4TlSbCl12
1.0
-5.2760 5.2760 10.5062
5.2760 -5.2760 10.5062
5.2760 5.2760 -10.5062
Cs Tl Sb Cl
8 2 2 24
Cartesian
2.3576 0.0000 0.0000
8.1943 0.0000 0.0000
2.6380 4.9955 -5.2531
2.6380 -0.2804 5.2531
2.3576 5.2760 0.0000
2.9184 0.0000 10.5062
-2.6380 5.5564 5.2531
2.6380 5.5564 5.2531
5.2760 -2.6380 7.8797
0.0000 7.9139 2.6266
5.2760 2.6380 2.6266
0.0000 2.6380 7.8797
5.2760 -2.6380 5.2681
5.2760 5.2545 -7.7937
2.6166 2.6380 -2.5406
2.6594 -2.6380 7.9656
5.2760 0.2428 2.6058
5.2760 -2.6380 10.4912
5.2760 2.6380 0.2337
5.2760 -0.0214 7.7937
2.8808 2.6380 2.6474
7.6711 2.6380 2.6474
0.0000 0.2428 7.9005
5.2760 2.6380 5.0194
0.0000 2.6380 5.4868
5.2760 5.0331 2.6058
-2.3951 2.6380 7.8589
2.3951 2.6380 7.8589
0.0000 5.2974 2.7125
0.0000 2.6380 10.2725
0.0000 7.9139 0.0150
0.0000 5.0331 7.9005
2.6166 7.9139 2.5406
2.6594 2.6380 13.0468
0.0000 0.0214 18.2999
0.0000 7.9139 5.2381
```

***

Entry 6:
The following is a DFT calculation (r²SCAN) of a geometry-optimized Cs3ScCl6 structure.

Values from the calculation:
The space group is No. 15.

```
Cs3ScCl6
1.0
13.2776 -4.0535 0.0000
13.2776 4.0535 0.0000
-2.2606 0.0000 12.7124
Cs Sc Cl
12 4 24
Cartesian
8.4891 2.5078 2.5191
7.2765 1.5008 10.8726
10.6441 2.0733 7.1779
12.5203 2.0733 11.8906
16.9359 2.5078 3.8370
15.8879 1.5008 8.1959
8.4068 -1.5008 4.5164
7.3588 -2.5078 8.8753
11.7744 -2.0733 0.8218
13.6506 -2.0733 5.5344
17.0182 -1.5008 1.8397
15.8056 -2.5078 10.1932
5.5085 2.0267 6.3562
12.7125 2.2637 3.1781
6.6388 -2.0267 0.0000
11.5822 -2.2637 9.5343
1.0112 0.0379 2.4200
-0.1191 -0.0379 8.7762
5.9028 0.9703 4.1185
3.6793 0.3808 6.8216
11.6277 2.2513 0.9370
4.8095 -0.3808 0.4654
7.2879 0.5415 7.3403
13.7973 2.2513 5.4192
4.7725 -0.9703 10.4746
11.1261 0.4938 3.9850
8.4182 -0.5415 0.9841
14.2989 0.4938 2.3712
9.9958 -0.4938 10.3411
15.8765 0.5415 11.7283
13.1686 -0.4938 8.7274
19.5222 0.9703 2.2377
10.4974 -2.2513 7.2931
17.0068 -0.5415 5.3721
19.4852 0.3808 12.2470
12.6670 -2.2513 11.7754
20.6154 -0.3808 5.8908
18.3919 -0.9703 8.5939
24.4138 0.0379 3.9362
23.2835 -0.0379 10.2923
```

***

no.,total moment (Bohr magnetons per cell),E (eV per cell)
1,0.00,-274.11
2,0.00,-402.71
3,0.00,-203.99
4,0.00,-203.99
5,0.00,-560.65
6,0.00,-588.01